Mn3Cr2Te3O16 (PBE+U, optimized geometry); V = 12.3 Å³ per atom; energy of formation = -1.597 eV/atom; density = 5.122 g/cm3
1.0
2.100 -3.922 4.245
2.224 -5.464 -1.736
8.271 3.375 -0.698
O Te Mn Cr
16 3 3 2
direct
0.944 0.516 0.160 O
0.008 0.008 0.188 O
0.827 0.827 0.907 O
0.013 0.013 0.679 O
0.312 0.312 0.910 O
0.347 0.839 0.895 O
0.664 0.175 0.400 O
0.458 0.054 0.656 O
0.054 0.458 0.656 O
0.654 0.654 0.401 O
0.839 0.347 0.895 O
0.167 0.167 0.391 O
0.526 0.526 0.167 O
0.175 0.664 0.400 O
0.474 0.474 0.636 O
0.516 0.944 0.160 O
0.838 0.838 0.298 Te
0.672 0.176 0.794 Te
0.176 0.672 0.794 Te
0.176 0.176 0.786 Mn
0.832 0.341 0.290 Mn
0.341 0.832 0.290 Mn
0.325 0.325 0.508 Cr
0.663 0.663 0.023 Cr

=====

Ti3Mn3Cr2O16 (PBE+U, optimized geometry); V = 11.1 Å³ per atom; energy of formation = -2.404 eV/atom; density = 4.182 g/cm3
1.0
-5.135 -0.154 -2.823
-2.553 -5.152 -1.140
-4.317 0.389 7.781
O Cr Ti Mn
16 2 3 3
direct
0.480 0.480 0.835 O
0.829 0.829 0.604 O
0.996 0.996 0.816 O
0.480 0.050 0.841 O
0.996 0.996 0.315 O
0.526 0.526 0.344 O
0.656 0.172 0.101 O
0.529 0.955 0.340 O
0.833 0.339 0.602 O
0.337 0.337 0.600 O
0.339 0.833 0.602 O
0.050 0.480 0.841 O
0.171 0.171 0.105 O
0.668 0.668 0.098 O
0.955 0.529 0.340 O
0.172 0.656 0.101 O
0.334 0.334 0.985 Cr
0.672 0.672 0.488 Cr
0.831 0.330 0.210 Ti
0.159 0.159 0.707 Ti
0.330 0.831 0.210 Ti
0.660 0.170 0.710 Mn
0.170 0.660 0.710 Mn
0.828 0.828 0.210 Mn

=====

MnV4CrO12 (PBE+U, optimized geometry); V = 14.3 Å³ per atom; energy of formation = -2.311 eV/atom; density = 3.253 g/cm3
1.0
-2.907 -0.290 -6.175
5.470 -2.580 -3.178
-1.258 -5.705 -0.844
O Mn V Cr
12 1 4 1
direct
0.195 0.039 0.092 O
0.383 0.916 0.535 O
0.368 0.359 0.697 O
0.034 0.195 0.623 O
0.641 0.632 0.303 O
0.907 0.374 0.039 O
0.626 0.093 0.961 O
0.084 0.617 0.465 O
0.961 0.805 0.908 O
0.354 0.361 0.196 O
0.805 0.966 0.377 O
0.639 0.646 0.804 O
0.085 0.915 0.500 Mn
0.393 0.208 0.984 V
0.792 0.607 0.016 V
0.610 0.793 0.510 V
0.207 0.390 0.490 V
0.917 0.083 0.000 Cr